Density functional theory data (PBE) for crystalline Zr3Cu4Si6 at its relaxed geometry.

## Properties
Crystal system: tetragonal
Formation energy: -0.490 eV/atom
Volume: 197.8 Å³/cell

abc: 14.400 14.400 14.400
angles: 165.09 165.09 21.15
Positions (direct):
Zr1 0.000 0.000 0.000
Zr2 0.325 0.325 0.000
Zr3 0.675 0.675 0.000
Cu1 0.090 0.590 0.500
Cu2 0.410 0.910 0.500
Cu3 0.590 0.090 0.500
Cu4 0.910 0.410 0.500
Si1 0.146 0.146 0.000
Si2 0.250 0.750 0.500
Si3 0.459 0.459 0.000
Si4 0.541 0.541 0.000
Si5 0.750 0.250 0.500
Si6 0.854 0.854 0.000